1.
DFT (r2SCAN) results for EuGe7Rh3 after structural relaxation.

Cell lengths 8.278, 8.278, 8.278 Å; angles 57.17, 57.17, 57.17 degrees
Element x y z (fractional)
Eu1 0.000 0.000 0.000
Eu2 0.500 0.500 0.500
Ge1 0.072 0.851 0.669
Ge2 0.149 0.331 0.928
Ge3 0.169 0.351 0.572
Ge4 0.250 0.250 0.250
Ge5 0.331 0.928 0.149
Ge6 0.351 0.572 0.169
Ge7 0.428 0.831 0.649
Ge8 0.572 0.169 0.351
Ge9 0.649 0.428 0.831
Ge10 0.669 0.072 0.851
Ge11 0.750 0.750 0.750
Ge12 0.831 0.649 0.428
Ge13 0.851 0.669 0.072
Ge14 0.928 0.149 0.331
Rh1 0.066 0.750 0.434
Rh2 0.250 0.566 0.934
Rh3 0.434 0.066 0.750
Rh4 0.566 0.934 0.250
Rh5 0.750 0.434 0.066
Rh6 0.934 0.250 0.566

## Properties
final energy	-19.40	eV/atom
symmetry	No. 167
calculated formation energy	-5.37	eV/f.u.
total magnetic moment	0.0	μB/cell



2.
DFT (r2SCAN) results for EuGe2Ru2 after structural relaxation.

Cell lengths 5.897, 5.897, 5.897 Å; angles 137.35, 137.35, 61.89 degrees
Element x y z (fractional)
Eu1 0.000 0.000 0.000
Ge1 0.363 0.363 0.000
Ge2 0.637 0.637 0.000
Ru1 0.250 0.750 0.500
Ru2 0.750 0.250 0.500

## Properties
final energy	-24.03	eV/atom
symmetry	No. 139
calculated formation energy	-3.05	eV/f.u.
total magnetic moment	7.0	μB/cell



3.
DFT (r2SCAN) results for EuGeS3 after structural relaxation.

Cell lengths 8.416, 8.486, 11.770 Å; angles 69.18, 80.70, 75.43 degrees
Element x y z (fractional)
Eu1 0.072 0.446 0.315
Eu2 0.253 0.240 0.000
Eu3 0.391 0.760 0.364
Eu4 0.609 0.240 0.636
Eu5 0.747 0.760 0.000
Eu6 0.928 0.554 0.685
Ge1 0.055 0.018 0.687
Ge2 0.270 0.776 0.971
Ge3 0.407 0.659 0.697
Ge4 0.593 0.341 0.303
Ge5 0.730 0.224 0.029
Ge6 0.945 0.982 0.313
S1 0.045 0.717 0.423
S2 0.109 0.593 0.042
S3 0.140 0.038 0.854
S4 0.146 0.122 0.267
S5 0.275 0.451 0.736
S6 0.284 0.921 0.581
S7 0.380 0.388 0.429
S8 0.382 0.845 0.097
S9 0.495 0.681 0.860
S10 0.505 0.319 0.140
S11 0.618 0.155 0.903
S12 0.620 0.612 0.571
S13 0.716 0.079 0.419
S14 0.725 0.549 0.264
S15 0.854 0.878 0.733
S16 0.860 0.962 0.146
S17 0.891 0.407 0.958
S18 0.955 0.283 0.577

## Properties
final energy	-16.54	eV/atom
symmetry	No. 2
calculated formation energy	-6.18	eV/f.u.
total magnetic moment	42.0	μB/cell



4.
DFT (r2SCAN) results for Eu2H6Ir after structural relaxation.

Cell lengths 5.325, 5.325, 5.325 Å; angles 60.00, 60.00, 60.00 degrees
Element x y z (fractional)
Eu1 0.250 0.250 0.250
Eu2 0.750 0.750 0.750
H1 0.228 0.228 0.772
H2 0.228 0.772 0.228
H3 0.228 0.772 0.772
H4 0.772 0.228 0.228
H5 0.772 0.228 0.772
H6 0.772 0.772 0.228
Ir1 0.000 0.000 0.000

## Properties
final energy	-17.35	eV/atom
symmetry	No. 225
calculated formation energy	-6.04	eV/f.u.
total magnetic moment	14.2	μB/cell



5.
DFT (r2SCAN) results for EuHSO5 after structural relaxation.

Cell lengths 4.495, 12.311, 6.926 Å; angles 90.00, 111.69, 90.00 degrees
Element x y z (fractional)
Eu1 0.173 0.064 0.307
Eu2 0.173 0.436 0.807
Eu3 0.827 0.564 0.193
Eu4 0.827 0.936 0.693
H1 0.203 0.658 0.971
H2 0.203 0.842 0.471
H3 0.797 0.158 0.529
H4 0.797 0.342 0.029
S1 0.409 0.145 0.887
S2 0.409 0.355 0.387
S3 0.591 0.645 0.613
S4 0.591 0.855 0.113
O1 0.201 0.069 0.949
O2 0.201 0.431 0.449
O3 0.229 0.587 0.038
O4 0.229 0.913 0.538
O5 0.233 0.247 0.817
O6 0.233 0.253 0.317
O7 0.296 0.665 0.437
O8 0.296 0.835 0.937
O9 0.473 0.096 0.712
O10 0.473 0.404 0.212
O11 0.527 0.596 0.788
O12 0.527 0.904 0.288
O13 0.704 0.165 0.063
O14 0.704 0.335 0.563
O15 0.767 0.747 0.683
O16 0.767 0.753 0.183
O17 0.771 0.087 0.462
O18 0.771 0.413 0.962
O19 0.799 0.569 0.551
O20 0.799 0.931 0.051

## Properties
final energy	-12.02	eV/atom
symmetry	No. 14
calculated formation energy	-16.32	eV/f.u.
total magnetic moment	24.0	μB/cell



6.
DFT (r2SCAN) results for EuH3Pd after structural relaxation.

Cell lengths 3.791, 3.791, 3.791 Å; angles 90.00, 90.00, 90.00 degrees
Element x y z (fractional)
Eu1 0.000 0.000 0.000
H1 0.000 0.500 0.500
H2 0.500 0.000 0.500
H3 0.500 0.500 0.000
Pd1 0.500 0.500 0.500

## Properties
final energy	-14.96	eV/atom
symmetry	No. 221
calculated formation energy	-2.95	eV/f.u.
total magnetic moment	6.9	μB/cell



7.
DFT (r2SCAN) results for Eu2H6Ru after structural relaxation.

Cell lengths 5.289, 5.289, 5.289 Å; angles 60.00, 60.00, 60.00 degrees
Element x y z (fractional)
Eu1 0.250 0.250 0.250
Eu2 0.750 0.750 0.750
H1 0.230 0.230 0.770
H2 0.230 0.770 0.230
H3 0.230 0.770 0.770
H4 0.770 0.230 0.230
H5 0.770 0.230 0.770
H6 0.770 0.770 0.230
Ru1 0.000 0.000 0.000

## Properties
final energy	-14.38	eV/atom
symmetry	No. 225
calculated formation energy	-6.19	eV/f.u.
total magnetic moment	14.0	μB/cell



8.
DFT (r2SCAN) results for Eu2HfNbO6 after structural relaxation.

Cell lengths 5.770, 5.770, 5.770 Å; angles 60.00, 60.00, 60.00 degrees
Element x y z (fractional)
Eu1 0.250 0.250 0.250
Eu2 0.750 0.750 0.750
Hf1 0.000 0.000 0.000
Nb1 0.500 0.500 0.500
O1 0.251 0.251 0.749
O2 0.251 0.749 0.251
O3 0.251 0.749 0.749
O4 0.749 0.251 0.251
O5 0.749 0.251 0.749
O6 0.749 0.749 0.251

## Properties
final energy	-20.70	eV/atom
symmetry	No. 225
calculated formation energy	-24.27	eV/f.u.
total magnetic moment	1.3	μB/cell